DFT (GGA+U) results for crystalline La2ZnCrO6 at its relaxed geometry.

Results
- Formation energy: -2895 meV per atom
- E: -7.3303 eV/atom
- Energy with MP2020 corrections: -7.942 eV per atom

a = 5.6367 Å, b = 5.6367 Å, c = 13.4264 Å
α = 90.00°, β = 90.00°, γ = 120.00°
Space group R-3 (No. 148, hexagonal axes)
Asymmetric unit:
La 0.0000 0.0000 0.2490
Zn 0.0000 0.0000 0.5000
Cr 0.0000 0.0000 0.0000
O 0.0152 0.5834 0.7485

***

DFT (GGA+U) results for crystalline LiMg6CrO8 at its relaxed geometry.

Results
- Formation energy: -2840 meV per atom
- E: -6.1688 eV/atom
- Energy with MP2020 corrections: -6.637 eV per atom

a = 4.213 Å, b = 4.213 Å, c = 8.605 Å
α = 90.00°, β = 90.00°, γ = 90.00°
Space group P4/mmm (No. 123)
Asymmetric unit:
Li 0.000 0.000 0.000
Mg 0.000 0.500 0.236
Mg 0.500 0.500 0.000
Mg 0.500 0.500 0.500
Cr 0.000 0.000 0.500
O 0.000 0.000 0.269
O 0.000 0.500 0.000
O 0.000 0.500 0.500
O 0.500 0.500 0.254

***

DFT (GGA+U) results for crystalline LiMg30CrO32 at its relaxed geometry.

Results
- Formation energy: -3006 meV per atom
- E: -6.0357 eV/atom
- Energy with MP2020 corrections: -6.410 eV per atom

a = 8.509 Å, b = 8.509 Å, c = 8.504 Å
α = 90.00°, β = 90.00°, γ = 90.00°
Space group P4/mmm (No. 123)
Asymmetric unit:
Li 0.000 0.000 0.000
Mg 0.000 0.000 0.500
Mg 0.000 0.246 0.247
Mg 0.000 0.500 0.000
Mg 0.000 0.500 0.500
Mg 0.245 0.245 0.000
Mg 0.248 0.500 0.251
Mg 0.249 0.249 0.500
Mg 0.500 0.500 0.500
Cr 0.500 0.500 0.000
O 0.000 0.000 0.256
O 0.000 0.252 0.500
O 0.000 0.259 0.000
O 0.000 0.500 0.250
O 0.251 0.251 0.250
O 0.253 0.500 0.500
O 0.259 0.500 0.000
O 0.500 0.500 0.243

***

DFT (GGA+U) results for crystalline LiMg14CrO16 at its relaxed geometry.

Results
- Formation energy: -2949 meV per atom
- E: -6.0782 eV/atom
- Energy with MP2020 corrections: -6.484 eV per atom

a = 8.521 Å, b = 8.521 Å, c = 4.231 Å
α = 90.00°, β = 90.00°, γ = 90.00°
Space group P4/mmm (No. 123)
Asymmetric unit:
Li 0.000 0.000 0.000
Mg 0.000 0.242 0.500
Mg 0.000 0.500 0.000
Mg 0.243 0.243 0.000
Mg 0.245 0.500 0.500
Cr 0.500 0.500 0.000
O 0.000 0.000 0.500
O 0.000 0.261 0.000
O 0.000 0.500 0.500
O 0.252 0.252 0.500
O 0.261 0.500 0.000
O 0.500 0.500 0.500

***

DFT (GGA+U) results for crystalline LiMg14CrO16 at its relaxed geometry.

Results
- Formation energy: -2956 meV per atom
- E: -6.0858 eV/atom
- Energy with MP2020 corrections: -6.492 eV per atom

a = 4.229 Å, b = 8.495 Å, c = 8.537 Å
α = 90.00°, β = 90.00°, γ = 90.00°
Space group Pmmm (No. 47)
Asymmetric unit:
Li 0.000 0.000 0.000
Mg 0.000 0.248 0.243
Mg 0.000 0.500 0.000
Mg 0.000 0.500 0.500
Mg 0.500 0.000 0.240
Mg 0.500 0.244 0.000
Mg 0.500 0.252 0.500
Mg 0.500 0.500 0.247
Cr 0.000 0.000 0.500
O 0.000 0.000 0.265
O 0.000 0.242 0.500
O 0.000 0.256 0.000
O 0.000 0.500 0.255
O 0.500 0.000 0.000
O 0.500 0.000 0.500
O 0.500 0.249 0.252
O 0.500 0.500 0.000
O 0.500 0.500 0.500

***

DFT (GGA+U) results for crystalline LiMg6CrO8 at its relaxed geometry.

Results
- Formation energy: -2848 meV per atom
- E: -6.1765 eV/atom
- Energy with MP2020 corrections: -6.645 eV per atom

a = 4.204 Å, b = 4.204 Å, c = 8.567 Å
α = 90.00°, β = 90.00°, γ = 90.00°
Space group P4/mmm (No. 123)
Asymmetric unit:
Li 0.000 0.000 0.000
Mg 0.000 0.000 0.500
Mg 0.000 0.500 0.246
Mg 0.500 0.500 0.500
Cr 0.500 0.500 0.000
O 0.000 0.000 0.257
O 0.000 0.500 0.000
O 0.000 0.500 0.500
O 0.500 0.500 0.239

***

DFT (GGA+U) results for crystalline LiMgCr3S6O24 at its relaxed geometry.

Results
- Formation energy: -2107 meV per atom
- E: -6.4941 eV/atom
- Energy with MP2020 corrections: -7.137 eV per atom

a = 8.352 Å, b = 8.870 Å, c = 12.181 Å
α = 84.79°, β = 89.86°, γ = 89.82°
Space group P-1 (No. 2)
Asymmetric unit:
Li 0.163 0.279 0.095
Mg 0.001 0.786 0.146
Cr 0.000 0.195 0.351
Cr 0.494 0.698 0.846
Cr 0.497 0.286 0.644
S 0.146 0.853 0.896
S 0.148 0.144 0.604
S 0.209 0.499 0.251
S 0.290 0.999 0.253
S 0.357 0.357 0.897
S 0.357 0.646 0.604
O 0.031 0.788 0.814
O 0.034 0.190 0.514
O 0.073 0.569 0.193
O 0.096 0.215 0.702
O 0.109 0.012 0.904
O 0.118 0.758 0.999
O 0.155 0.975 0.626
O 0.159 0.373 0.332
O 0.187 0.656 0.639
O 0.189 0.059 0.340
O 0.195 0.308 0.934
O 0.204 0.894 0.190
O 0.302 0.608 0.309
O 0.311 0.435 0.161
O 0.313 0.192 0.571
O 0.314 0.844 0.856
O 0.342 0.129 0.171
O 0.347 0.525 0.872
O 0.382 0.735 0.497
O 0.394 0.485 0.594
O 0.403 0.284 0.797
O 0.433 0.929 0.309
O 0.467 0.711 0.684
O 0.475 0.312 0.985

***

DFT (GGA+U) results for crystalline LiMgCr3S6O24 at its relaxed geometry.

Results
- Formation energy: -2106 meV per atom
- E: -6.4931 eV/atom
- Energy with MP2020 corrections: -7.136 eV per atom

a = 8.315 Å, b = 8.326 Å, c = 8.879 Å
α = 62.18°, β = 62.34°, γ = 60.40°
Space group P1 (No. 1)
Asymmetric unit:
Li 0.000 0.000 0.000
Mg 0.399 0.719 0.921
Cr 0.088 0.429 0.820
Cr 0.590 0.926 0.311
Cr 0.880 0.221 0.440
S 0.193 0.119 0.622
S 0.274 0.045 0.121
S 0.491 0.531 0.622
S 0.701 0.320 0.124
S 0.777 0.830 0.622
S 0.985 0.614 0.121
O 0.128 0.072 0.292
O 0.185 0.596 0.076
O 0.200 0.936 0.774
O 0.220 0.258 0.661
O 0.241 0.916 0.074
O 0.261 0.235 0.976
O 0.286 0.559 0.662
O 0.345 0.084 0.455
O 0.470 0.955 0.140
O 0.520 0.549 0.763
O 0.539 0.680 0.447
O 0.574 0.520 0.076
O 0.589 0.859 0.761
O 0.619 0.336 0.600
O 0.623 0.184 0.140
O 0.730 0.267 0.295
O 0.755 0.876 0.447
O 0.854 0.815 0.137
O 0.867 0.959 0.599
O 0.897 0.283 0.979
O 0.914 0.625 0.664
O 0.928 0.472 0.293
O 0.951 0.600 0.977
O 0.998 0.207 0.599

***

DFT (GGA+U) results for crystalline LiMgCr7S12O48 at its relaxed geometry.

Results
- Formation energy: -2060 meV per atom
- E: -6.5713 eV/atom
- Energy with MP2020 corrections: -7.252 eV per atom

a = 8.262 Å, b = 8.847 Å, c = 14.323 Å
α = 105.68°, β = 90.06°, γ = 117.78°
Space group P1 (No. 1)
Asymmetric unit:
Li 0.000 0.000 0.000
Mg 0.561 0.697 0.959
Cr 0.063 0.695 0.462
Cr 0.264 0.088 0.857
Cr 0.306 0.176 0.211
Cr 0.496 0.562 0.607
Cr 0.758 0.085 0.361
Cr 0.804 0.175 0.707
Cr 0.996 0.561 0.106
S 0.193 0.378 0.411
S 0.259 0.379 0.056
S 0.260 0.377 0.761
S 0.300 0.879 0.305
S 0.300 0.884 0.016
S 0.368 0.881 0.658
S 0.698 0.379 0.909
S 0.758 0.378 0.553
S 0.762 0.377 0.264
S 0.801 0.879 0.515
S 0.806 0.884 0.801
S 0.865 0.880 0.161
O 0.017 0.235 0.428
O 0.046 0.023 0.142
O 0.064 0.326 0.771
O 0.100 0.394 0.096
O 0.159 0.711 0.028
O 0.172 0.222 0.961
O 0.179 0.708 0.228
O 0.192 0.551 0.433
O 0.199 0.933 0.951
O 0.216 0.860 0.591
O 0.225 0.329 0.308
O 0.260 0.025 0.297
O 0.264 0.859 0.403
O 0.294 0.393 0.661
O 0.301 0.232 0.769
O 0.335 0.927 0.761
O 0.345 0.398 0.477
O 0.349 0.332 0.125
O 0.369 0.708 0.636
O 0.377 0.546 0.836
O 0.382 0.027 0.113
O 0.394 0.542 0.038
O 0.450 0.866 0.970
O 0.494 0.926 0.293
O 0.519 0.232 0.924
O 0.544 0.024 0.641
O 0.569 0.333 0.277
O 0.603 0.398 0.595
O 0.662 0.708 0.528
O 0.677 0.233 0.456
O 0.680 0.708 0.729
O 0.695 0.548 0.931
O 0.709 0.925 0.446
O 0.723 0.865 0.094
O 0.732 0.330 0.806
O 0.761 0.025 0.793
O 0.780 0.871 0.902
O 0.796 0.396 0.165
O 0.801 0.233 0.273
O 0.841 0.931 0.265
O 0.845 0.394 0.977
O 0.850 0.332 0.621
O 0.869 0.708 0.140
O 0.882 0.025 0.610
O 0.885 0.550 0.339
O 0.897 0.550 0.540
O 0.956 0.859 0.473
O 0.999 0.929 0.787

***

DFT (GGA+U) results for crystalline LiMgCr3Se2S4O24 at its relaxed geometry.

Results
- Formation energy: -1922 meV per atom
- E: -6.2722 eV/atom
- Energy with MP2020 corrections: -6.915 eV per atom

a = 8.422 Å, b = 8.431 Å, c = 8.952 Å
α = 62.57°, β = 62.50°, γ = 60.51°
Space group P1 (No. 1)
Asymmetric unit:
Li 0.000 0.000 0.000
Mg 0.280 0.609 0.066
Cr 0.067 0.411 0.696
Cr 0.578 0.914 0.174
Cr 0.778 0.111 0.564
Se 0.170 0.224 0.374
Se 0.469 0.508 0.376
S 0.384 0.017 0.880
S 0.680 0.297 0.874
S 0.883 0.804 0.377
S 0.952 0.726 0.881
O 0.037 0.113 0.397
O 0.038 0.532 0.865
O 0.063 0.800 0.227
O 0.081 0.760 0.924
O 0.118 0.240 0.573
O 0.125 0.432 0.221
O 0.184 0.148 0.868
O 0.309 0.459 0.574
O 0.399 0.821 0.925
O 0.400 0.080 0.332
O 0.404 0.049 0.021
O 0.433 0.737 0.334
O 0.450 0.467 0.223
O 0.482 0.422 0.922
O 0.525 0.070 0.709
O 0.688 0.369 0.395
O 0.720 0.104 0.016
O 0.731 0.266 0.706
O 0.748 0.779 0.334
O 0.765 0.740 0.024
O 0.791 0.994 0.406
O 0.812 0.376 0.859
O 0.918 0.651 0.541
O 0.925 0.868 0.711